Computed, not measured: a geometry-optimized Rb3NaMgW2O8 structure at the PBE with a Hubbard U level of DFT.

Values from the calculation:
Crystal system = trigonal
Volume = 304.5 Å³ per cell
Energy of formation = -1.974 eV/atom
Symmetry = No. 156

abc: 6.294 6.294 8.875
angles: 90.00 90.00 120.00
Sites, in units of the cell vectors:
Rb (0.000, 0.000, 0.000)
Rb (0.333, 0.667, 0.303)
Rb (0.667, 0.333, 0.678)
Na (0.333, 0.667, 0.940)
Mg (0.333, 0.667, 0.640)
W (0.000, 0.000, 0.557)
W (0.667, 0.333, 0.144)
O (0.000, 0.000, 0.346)
O (0.163, 0.325, 0.668)
O (0.163, 0.837, 0.668)
O (0.510, 0.021, 0.070)
O (0.510, 0.490, 0.070)
O (0.667, 0.333, 0.346)
O (0.675, 0.837, 0.668)
O (0.979, 0.490, 0.070)

Computed, not measured: a geometry-optimized VOF structure at the PBE with a Hubbard U level of DFT.

Values from the calculation:
Crystal system = monoclinic
Volume = 278.0 Å³ per cell
Energy of formation = -2.802 eV/atom
Symmetry = No. 14

abc: 4.709 6.229 9.477
angles: 90.00 90.61 90.00
Sites, in units of the cell vectors:
V (0.000, 0.000, 0.000)
V (0.000, 0.000, 0.500)
V (0.000, 0.500, 0.000)
V (0.000, 0.500, 0.500)
V (0.470, 0.249, 0.265)
V (0.470, 0.251, 0.765)
V (0.530, 0.749, 0.235)
V (0.530, 0.751, 0.735)
O (0.183, 0.245, 0.410)
O (0.183, 0.255, 0.910)
O (0.312, 0.000, 0.157)
O (0.312, 0.500, 0.657)
O (0.688, 0.000, 0.843)
O (0.688, 0.500, 0.343)
O (0.817, 0.745, 0.090)
O (0.817, 0.755, 0.590)
F (0.210, 0.747, 0.896)
F (0.210, 0.753, 0.396)
F (0.297, 0.000, 0.649)
F (0.297, 0.500, 0.149)
F (0.703, 0.000, 0.351)
F (0.703, 0.500, 0.851)
F (0.790, 0.247, 0.604)
F (0.790, 0.253, 0.104)